Record 1
{"formula": "Na2MgCo2O4", "functional": "GGA+U", "state": "optimized geometry", "ef_ev_per_atom": -0.8738, "space_group": "No. 38", "lattice_angstrom": [[3.416, 0.000, 0.000], [-1.708, 2.903, 0.000], [0.000, 0.000, 10.588]], "species": ["Mg", "Na", "Co", "O", "Na", "O", "O", "O", "Co"], "frac_coords": [[0.997, 0.995, 0.750], [0.663, 0.326, 0.250], [0.999, 0.999, 0.025], [0.673, 0.346, 0.635], [0.337, 0.673, 0.750], [0.329, 0.658, 0.406], [0.673, 0.346, 0.865], [0.329, 0.658, 0.094], [0.999, 0.999, 0.475]]}

***

Record 2
{"formula": "NaMgCoO2", "functional": "GGA+U", "state": "optimized geometry", "ef_ev_per_atom": -1.5284, "space_group": "No. 5", "lattice_angstrom": [[5.501, 0.000, 0.000], [-2.750, 2.782, -0.862], [0.000, -1.224, 5.594]], "species": ["O", "Na", "Mg", "O", "Co"], "frac_coords": [[0.283, 0.367, 0.363], [0.850, 0.000, 0.500], [0.349, 0.000, 0.500], [0.916, 0.633, 0.637], [0.102, 0.000, 0.000]]}

***

Record 3
{"formula": "Na6MgCo2O6", "functional": "GGA+U", "state": "optimized geometry", "ef_ev_per_atom": -1.5360, "space_group": "No. 1", "lattice_angstrom": [[5.768, -0.094, -0.035], [0.295, 5.825, 2.709], [-0.124, 0.217, 6.367]], "species": ["Na", "Na", "Na", "O", "O", "O", "Mg", "O", "Co", "O", "O", "Co", "Na", "Na", "Na"], "frac_coords": [[0.223, 0.627, 0.505], [0.083, 0.705, 0.052], [0.779, 0.372, 0.496], [0.173, 0.326, 0.419], [0.288, 0.798, 0.737], [0.713, 0.202, 0.263], [0.001, 0.000, 0.498], [0.213, 0.007, 0.191], [0.397, 0.211, 0.274], [0.785, 0.993, 0.811], [0.827, 0.674, 0.581], [0.604, 0.790, 0.726], [0.916, 0.295, 0.947], [0.658, 0.882, 0.198], [0.340, 0.117, 0.803]]}

***

Calculated values (μB per formula unit) of M_tot for the records, taken in order: 6.00, 2.00, 6.00.
Calculated values (meV per atom) of offset from the most stable computed form for the records, taken in order: 761.2, 17.2, 54.2.
Calculated values (eV per atom) of energy for the records, taken in order: -4.4549, -4.9114, -4.6055.